The following is a PBE calculation of a relaxed Sc7As3 crystal, from the Materials Project database.

The structure belongs to space group I4/mcm (No. 140); the cell edges are 14.455, 14.455 and 8.055 Å and the angles 90.00°, 90.00° and 90.00°. The inequivalent atoms are Sc at (0.000, 0.000, 0.250), Sc at (0.000, 0.500, 0.250), Sc at (0.020, 0.328, 0.000), Sc at (0.120, 0.125, 0.500), Sc at (0.168, 0.332, 0.305), As at (0.000, 0.194, 0.250) and As at (0.221, 0.279, 0.000).

As for the crystal system: tetragonal. The calculation puts the energy of formation from the pure elements at -887 meV per atom. The calculation puts the energy at -6.72 eV per atom.



The following is a PBE calculation of a relaxed ScAs crystal, from the Materials Project database.

The structure belongs to space group Fm-3m (No. 225); the cell edges are 5.490, 5.490 and 5.490 Å and the angles 90.00°, 90.00° and 90.00°. The inequivalent atoms are Sc at (0.000, 0.000, 0.000) and As at (0.000, 0.000, 0.500).

As for the crystal system: cubic. The calculation puts the energy of formation from the pure elements at -1374 meV per atom. The calculation puts the energy at -6.87 eV per atom.



The following is a PBE calculation of a relaxed Sc3As crystal, from the Materials Project database.

The structure belongs to space group P6_3/mmc (No. 194); the cell edges are 6.1464, 6.1464 and 4.9242 Å and the angles 90.00°, 90.00° and 120.00°. The inequivalent atoms are Sc at (0.1712, 0.3423, 0.2500) and As at (0.3333, 0.6667, 0.7500).

As for the crystal system: hexagonal. The calculation puts the energy of formation from the pure elements at -491 meV per atom. The calculation puts the energy at -6.41 eV per atom.



The following is a PBE calculation of a relaxed As2Se crystal, from the Materials Project database.

The structure belongs to space group I4_1/amd (No. 141, origin choice 2); the cell edges are 7.059, 7.059 and 5.307 Å and the angles 90.00°, 90.00° and 90.00°. The inequivalent atoms are As at (0.000, 0.000, 0.000) and Se at (0.000, 0.250, 0.375).

As for the crystal system: tetragonal. The calculation puts the energy of formation from the pure elements at -88 meV per atom. The calculation puts the energy at -4.20 eV per atom.



The following is a PBE calculation of a relaxed As4Se3 crystal, from the Materials Project database.

The structure belongs to space group Pnma (No. 62); the cell edges are 9.930, 8.563 and 11.011 Å and the angles 90.00°, 90.00° and 90.00°. The inequivalent atoms are As at (0.010, 0.250, 0.074), As at (0.145, 0.602, 0.788), As at (0.160, 0.250, 0.558), Se at (0.106, 0.750, 0.115) and Se at (0.168, 0.038, 0.414).

As for the crystal system: orthorhombic. The calculation puts the energy of formation from the pure elements at -280 meV per atom. The calculation puts the energy at -4.24 eV per atom.



The following is a PBE calculation of a relaxed Sm2AsSe crystal, from the Materials Project database.

The structure belongs to space group I4_1/amd (No. 141, origin choice 2); the cell edges are 5.930, 5.930 and 11.893 Å and the angles 90.00°, 90.00° and 90.00°. The inequivalent atoms are Sm at (0.000, 0.250, 0.120), As at (0.000, 0.250, 0.875) and Se at (0.000, 0.250, 0.375).

As for the crystal system: tetragonal. The calculation puts the energy of formation from the pure elements at -1842 meV per atom. The calculation puts the energy at -6.12 eV per atom. For the energy above the most stable polymorph in this dataset, the calculation gives 0.04 eV/f.u.